PBE-GGA ErScZn2, relaxed; formation energy = -0.359 eV/atom
1.0
-1.1186 1.7427 4.4229
-2.9200 3.8915 0.4244
-4.5261 -0.5235 1.7578
Er Sc Zn
1 1 2
Cartesian
-4.2823 2.5553 3.3025 Er
0.0000 0.0000 0.0000 Sc
-2.1412 1.2777 1.6513 Zn
-6.4235 3.8330 4.9538 Zn